Density functional theory data (PBE) for Rb3GaF6 after structural relaxation.

Calculated values
**Energy of formation**: -70.00 kcal/mol of atoms
**MP2020-corrected energy**: -4.78 eV per atom

Cell lengths 9.1920, 9.1920, 9.1920 Å; angles 90.00, 90.00, 90.00 degrees
Space group Fm-3m (No. 225)
One atom of each set of equivalent atoms:
Rb: 0.0000 0.0000 0.0000 x4
Rb: 0.2500 0.2500 0.2500 x8
Ga: 0.0000 0.0000 0.5000 x4
F: 0.0000 0.0000 0.2899 x24



Density functional theory data (PBE) for Cd2P4PdO8 after structural relaxation.

Calculated values
**Energy of formation**: -39.49 kcal/mol of atoms
**MP2020-corrected energy**: -6.26 eV per atom
**Total magnetization**: 0.00 μB/f.u.

Cell lengths 12.9356, 13.0060, 16.5865 Å; angles 90.00, 90.00, 90.00 degrees
Space group Fddd (No. 70, origin choice 2)
One atom of each set of equivalent atoms:
Cd: 0.0000 0.0000 0.0000 x16
P: 0.0111 0.0071 0.6806 x32
Pd: 0.1250 0.1250 0.6250 x8
O: 0.0492 0.3492 0.5442 x32
O: 0.1056 0.2683 0.9300 x32



Density functional theory data (PBE) for HoMn6Sn6 after structural relaxation.

Calculated values
**Energy of formation**: -3.19 kcal/mol of atoms

Cell lengths 5.4554, 5.4554, 8.9932 Å; angles 90.00, 90.00, 120.00 degrees
Space group P6/mmm (No. 191)
One atom of each set of equivalent atoms:
Ho: 0.0000 0.0000 0.0000 x1
Mn: 0.0000 0.5000 0.2486 x6
Sn: 0.0000 0.0000 0.3334 x2
Sn: 0.3333 0.6667 0.0000 x2
Sn: 0.3333 0.6667 0.5000 x2



Density functional theory data (PBE) for UFeC2 after structural relaxation.

Calculated values
**Energy of formation**: 7.94 kcal/mol of atoms
**Total magnetization**: 0.18 μB/f.u.

Cell lengths 5.5517, 5.5517, 6.1107 Å; angles 90.00, 90.00, 90.00 degrees
Space group I-42d (No. 122)
One atom of each set of equivalent atoms:
U: 0.0000 0.0000 0.0000 x4
Fe: 0.0000 0.0000 0.5000 x4
C: 0.1785 0.2500 0.6250 x8



Density functional theory data (PBE) for KHfMg6 after structural relaxation.

Calculated values
**Energy of formation**: 5.58 kcal/mol of atoms
**Total magnetization**: 0.22 μB/f.u.

Cell lengths 4.6731, 9.4163, 9.4083 Å; angles 90.00, 90.00, 90.00 degrees
Space group Amm2 (No. 38)
One atom of each set of equivalent atoms:
K: 0.0000 0.0000 0.0000 x2
Hf: 0.0000 0.0000 0.4907 x2
Mg: 0.0000 0.2438 0.7436 x4
Mg: 0.5000 0.0000 0.2689 x2
Mg: 0.5000 0.0000 0.7175 x2
Mg: 0.5000 0.2258 0.4909 x4



Density functional theory data (PBE) for CaAg2O4 after structural relaxation.

Calculated values
**Energy of formation**: -24.55 kcal/mol of atoms
**MP2020-corrected energy**: -4.99 eV per atom
**Total magnetization**: 3.97 μB/f.u.

Cell lengths 9.3896, 9.3896, 9.3896 Å; angles 90.00, 90.00, 90.00 degrees
Space group Fd-3m (No. 227, origin choice 2)
One atom of each set of equivalent atoms:
Ca: 0.1250 0.1250 0.1250 x8
Ag: 0.0000 0.0000 0.5000 x16
O: 0.0129 0.0129 0.7371 x32



Please write out number 2 again, unchanged.
Density functional theory data (PBE) for Cd2P4PdO8 after structural relaxation.

Calculated values
**Energy of formation**: -39.49 kcal/mol of atoms
**MP2020-corrected energy**: -6.26 eV per atom
**Total magnetization**: 0.00 μB/f.u.

Cell lengths 12.9356, 13.0060, 16.5865 Å; angles 90.00, 90.00, 90.00 degrees
Space group Fddd (No. 70, origin choice 2)
One atom of each set of equivalent atoms:
Cd: 0.0000 0.0000 0.0000 x16
P: 0.0111 0.0071 0.6806 x32
Pd: 0.1250 0.1250 0.6250 x8
O: 0.0492 0.3492 0.5442 x32
O: 0.1056 0.2683 0.9300 x32



What is the formula in the first record?
Rb3GaF6



Which of these has the lowest energy of formation?
Rb3GaF6



Among the records above, which one has the lowest energy of formation?
Rb3GaF6